A plane-wave DFT calculation with GGA-PBE was carried out for a geometry-optimized Hg3Bi2Te2Cl8 structure.

CIF file:
```
data_Hg3Bi2Te2Cl8
_symmetry_space_group_name_H-M 'C 1 2/c 1'
_symmetry_Int_Tables_number 15
_cell_length_a 18.0325
_cell_length_b 7.8616
_cell_length_c 13.7381
_cell_angle_alpha 90.00
_cell_angle_beta 104.32
_cell_angle_gamma 90.00
loop_
_symmetry_equiv_pos_as_xyz
'x,y,z'
'-x,-y,-z'
'-x,y,-z+1/2'
'x,-y,z+1/2'
'x+1/2,y+1/2,z'
'-x+1/2,-y+1/2,-z'
'-x+1/2,y+1/2,-z+1/2'
'x+1/2,-y+1/2,z+1/2'
loop_
_atom_site_label
_atom_site_fract_x
_atom_site_fract_y
_atom_site_fract_z
_atom_site_occupancy
Hg1 0.2468 0.0143 0.2562 1
Hg2 0.2500 0.2500 0.0000 1
Bi1 0.0421 0.2313 0.4388 1
Te1 0.1662 0.2483 0.8064 1
Cl1 0.0007 0.1064 0.6110 1
Cl2 0.1018 0.2696 0.2781 1
Cl3 0.1018 0.4801 0.0348 1
Cl4 0.1735 0.1068 0.5240 1
```

=====

A plane-wave DFT calculation with GGA-PBE was carried out for a geometry-optimized HoBi2ClO4 structure.

CIF file:
```
data_HoBi2ClO4
_symmetry_space_group_name_H-M 'P 4/m m m'
_symmetry_Int_Tables_number 123
_symmetry_space_group_name_Hall '-P 4 2'
_cell_length_a 3.8887
_cell_length_b 3.8887
_cell_length_c 9.0502
_cell_angle_alpha 90.00
_cell_angle_beta 90.00
_cell_angle_gamma 90.00
loop_
_atom_site_label
_atom_site_fract_x
_atom_site_fract_y
_atom_site_fract_z
_atom_site_occupancy
Ho1 0.0000 0.0000 0.0000 1
Bi1 0.5000 0.5000 0.2772 1
Cl1 0.0000 0.0000 0.5000 1
O1 0.0000 0.5000 0.1521 1
```

Summary:
**Size of the total moment**: 0.000 μB per atom

=====

A plane-wave DFT calculation with GGA-PBE was carried out for a geometry-optimized Rb2InBiCl6 structure.

CIF file:
```
data_Rb2InBiCl6
_symmetry_space_group_name_H-M 'F m -3 m'
_symmetry_Int_Tables_number 225
_symmetry_space_group_name_Hall '-F 4 2 3'
_cell_length_a 11.4099
_cell_length_b 11.4099
_cell_length_c 11.4099
_cell_angle_alpha 90.00
_cell_angle_beta 90.00
_cell_angle_gamma 90.00
loop_
_atom_site_label
_atom_site_fract_x
_atom_site_fract_y
_atom_site_fract_z
_atom_site_occupancy
Rb1 0.2500 0.2500 0.2500 1
In1 0.0000 0.0000 0.0000 1
Bi1 0.0000 0.0000 0.5000 1
Cl1 0.0000 0.0000 0.2609 1
```

Summary:
**Size of the total moment**: 0.000 μB per atom

=====

A plane-wave DFT calculation with GGA-PBE was carried out for a geometry-optimized InBi2S4Cl structure.

CIF file:
```
data_InBi2S4Cl
_symmetry_space_group_name_H-M 'C 1 2/m 1'
_symmetry_Int_Tables_number 12
_cell_length_a 12.6028
_cell_length_b 3.9428
_cell_length_c 8.6122
_cell_angle_alpha 90.00
_cell_angle_beta 115.53
_cell_angle_gamma 90.00
loop_
_symmetry_equiv_pos_as_xyz
'x,y,z'
'-x,-y,-z'
'-x,y,-z'
'x,-y,z'
'x+1/2,y+1/2,z'
'-x+1/2,-y+1/2,-z'
'-x+1/2,y+1/2,-z'
'x+1/2,-y+1/2,z'
loop_
_atom_site_label
_atom_site_fract_x
_atom_site_fract_y
_atom_site_fract_z
_atom_site_occupancy
In1 0.0000 0.0000 0.0000 1
Bi1 0.2043 0.0000 0.7248 1
S1 0.1254 0.5000 0.9459 1
S2 0.1634 0.0000 0.3169 1
Cl1 0.0000 0.5000 0.5000 1
```

Summary:
**Size of the total moment**: 0.000 μB per atom

=====

A plane-wave DFT calculation with GGA-PBE was carried out for a geometry-optimized K2LiBiCl6 structure.

CIF file:
```
data_K2LiBiCl6
_symmetry_space_group_name_H-M 'F m -3 m'
_symmetry_Int_Tables_number 225
_symmetry_space_group_name_Hall '-F 4 2 3'
_cell_length_a 10.5498
_cell_length_b 10.5498
_cell_length_c 10.5498
_cell_angle_alpha 90.00
_cell_angle_beta 90.00
_cell_angle_gamma 90.00
loop_
_atom_site_label
_atom_site_fract_x
_atom_site_fract_y
_atom_site_fract_z
_atom_site_occupancy
K1 0.2500 0.2500 0.2500 1
Li1 0.0000 0.0000 0.0000 1
Bi1 0.0000 0.0000 0.5000 1
Cl1 0.0000 0.0000 0.2435 1
```

Summary:
**Size of the total moment**: 0.000 μB per atom

=====

A plane-wave DFT calculation with GGA-PBE was carried out for a geometry-optimized K2NaBiCl6 structure.

CIF file:
```
data_K2NaBiCl6
_symmetry_space_group_name_H-M 'F m -3 m'
_symmetry_Int_Tables_number 225
_symmetry_space_group_name_Hall '-F 4 2 3'
_cell_length_a 10.8976
_cell_length_b 10.8976
_cell_length_c 10.8976
_cell_angle_alpha 90.00
_cell_angle_beta 90.00
_cell_angle_gamma 90.00
loop_
_atom_site_label
_atom_site_fract_x
_atom_site_fract_y
_atom_site_fract_z
_atom_site_occupancy
K1 0.2500 0.2500 0.2500 1
Na1 0.0000 0.0000 0.0000 1
Bi1 0.0000 0.0000 0.5000 1
Cl1 0.0000 0.0000 0.2515 1
```

Summary:
**Size of the total moment**: 0.000 μB per atom

=====

A plane-wave DFT calculation with GGA-PBE was carried out for a geometry-optimized KBi6ClO9 structure.

CIF file:
```
data_KBi6ClO9
_symmetry_space_group_name_H-M 'I a -3 d'
_symmetry_Int_Tables_number 230
_symmetry_space_group_name_Hall '-I 4bd 2c 3'
_cell_length_a 17.4328
_cell_length_b 17.4328
_cell_length_c 17.4328
_cell_angle_alpha 90.00
_cell_angle_beta 90.00
_cell_angle_gamma 90.00
loop_
_atom_site_label
_atom_site_fract_x
_atom_site_fract_y
_atom_site_fract_z
_atom_site_occupancy
K1 0.0000 0.0000 0.0000 1
Bi1 0.0000 0.2500 0.0139 1
Bi2 0.1059 0.1250 0.8559 1
Cl1 0.1250 0.1250 0.1250 1
O1 0.0011 0.1513 0.9386 1
O2 0.0189 0.1250 0.7689 1
```

=====

A plane-wave DFT calculation with GGA-PBE was carried out for a geometry-optimized LaBi2ClO4 structure.

CIF file:
```
data_LaBi2ClO4
_symmetry_space_group_name_H-M 'P 4/m m m'
_symmetry_Int_Tables_number 123
_symmetry_space_group_name_Hall '-P 4 2'
_cell_length_a 3.9889
_cell_length_b 3.9889
_cell_length_c 9.3332
_cell_angle_alpha 90.00
_cell_angle_beta 90.00
_cell_angle_gamma 90.00
loop_
_atom_site_label
_atom_site_fract_x
_atom_site_fract_y
_atom_site_fract_z
_atom_site_occupancy
La1 0.0000 0.0000 0.0000 1
Bi1 0.5000 0.5000 0.2784 1
Cl1 0.0000 0.0000 0.5000 1
O1 0.0000 0.5000 0.1617 1
```

Summary:
**Size of the total moment**: 0.000 μB per atom

=====

These records have energy of formation from the pure elements values of -1.05; -2.40; -1.72; -0.84; -1.90; -1.89; -1.67; -2.35 eV/atom, in the order they appear.